[1]
MnIr3: relaxed, r²SCAN.

Computed properties:
Energy ... -345.31 eV for the cell shown
M_tot ... 2.53 μB per formula unit

Cell: 5.4708 5.4708 4.3291 Å, 90.00 90.00 120.00°
Fractional coordinates of all 8 atoms:
1 Mn 0.3333 0.6667 0.2500
2 Mn 0.6667 0.3333 0.7500
3 Ir 0.1682 0.3363 0.7500
4 Ir 0.1682 0.8318 0.7500
5 Ir 0.3363 0.1682 0.2500
6 Ir 0.6637 0.8318 0.7500
7 Ir 0.8318 0.1682 0.2500
8 Ir 0.8318 0.6637 0.2500


[2]
Mn2IrN3: relaxed, r²SCAN.

Computed properties:
Energy ... -219.75 eV for the cell shown
M_tot ... 6.01 μB per formula unit

Cell: 5.3713 5.3713 5.2892 Å, 90.00 90.00 61.40°
Fractional coordinates of all 12 atoms:
1 Mn 0.0007 0.6551 0.5000
2 Mn 0.3449 0.9993 0.5000
3 Mn 0.6551 0.0007 0.0000
4 Mn 0.9993 0.3449 0.0000
5 Ir 0.3963 0.6037 0.9644
6 Ir 0.6037 0.3963 0.4644
7 N 0.0103 0.3221 0.3639
8 N 0.2715 0.7285 0.3175
9 N 0.3221 0.0103 0.8639
10 N 0.6779 0.9897 0.3639
11 N 0.7285 0.2715 0.8175
12 N 0.9897 0.6779 0.8639


[3]
Mn2IrRh: relaxed, r²SCAN.

Computed properties:
Energy ... -107.80 eV for the cell shown
M_tot ... 8.13 μB per formula unit

Cell: 4.2826 4.2826 4.2826 Å, 60.00 60.00 60.00°
Fractional coordinates of all 4 atoms:
1 Mn 0.2500 0.2500 0.2500
2 Mn 0.7500 0.7500 0.7500
3 Ir 0.0000 0.0000 0.0000
4 Rh 0.5000 0.5000 0.5000


[4]
MnSiIr: relaxed, r²SCAN.

Computed properties:
Energy ... -312.45 eV for the cell shown
M_tot ... 3.96 μB per formula unit

Cell: 6.1952 3.8665 7.1627 Å, 90.00 90.00 90.00°
Fractional coordinates of all 12 atoms:
1 Mn 0.0263 0.2500 0.1788
2 Mn 0.4737 0.7500 0.6788
3 Mn 0.5263 0.2500 0.3212
4 Mn 0.9737 0.7500 0.8212
5 Si 0.2205 0.7500 0.3737
6 Si 0.2795 0.2500 0.8737
7 Si 0.7205 0.7500 0.1263
8 Si 0.7795 0.2500 0.6263
9 Ir 0.1634 0.2500 0.5607
10 Ir 0.3366 0.7500 0.0607
11 Ir 0.6634 0.2500 0.9393
12 Ir 0.8366 0.7500 0.4393


[5]
MoIr3: relaxed, r²SCAN.

Computed properties:
Energy ... -369.28 eV for the cell shown
M_tot ... 0.00 μB per formula unit

Cell: 5.5090 5.5090 4.3980 Å, 90.00 90.00 120.00°
Fractional coordinates of all 8 atoms:
1 Mo 0.3333 0.6667 0.2500
2 Mo 0.6667 0.3333 0.7500
3 Ir 0.1663 0.3326 0.7500
4 Ir 0.1663 0.8337 0.7500
5 Ir 0.3326 0.1663 0.2500
6 Ir 0.6674 0.8337 0.7500
7 Ir 0.8337 0.1663 0.2500
8 Ir 0.8337 0.6674 0.2500


[6]
Ti2MoIr: relaxed, r²SCAN.

Computed properties:
Energy ... -107.03 eV for the cell shown
M_tot ... 0.00 μB per formula unit

Cell: 4.4027 4.4027 4.4027 Å, 60.00 60.00 60.00°
Fractional coordinates of all 4 atoms:
1 Ti 0.2500 0.2500 0.2500
2 Ti 0.7500 0.7500 0.7500
3 Mo 0.0000 0.0000 0.0000
4 Ir 0.5000 0.5000 0.5000


no.,energy of formation (eV/atom)
1,-0.223
2,-0.127
3,-0.484
4,-0.765
5,-0.372
6,-0.681